Compound: LaAg
Source: the Materials Project database
Functional: r2SCAN
Structure: optimized geometry

ΔH_f (0 K)	-0.28	eV/atom

```
data_LaAg
_space_group_name_H-M_alt 'P 4/m m m'
_space_group_IT_number 123
_space_group_name_Hall '-P 4 2'
_cell_length_a 3.808
_cell_length_b 3.808
_cell_length_c 3.818
_cell_angle_alpha 90.00
_cell_angle_beta 90.00
_cell_angle_gamma 90.00
loop_
_atom_site_label
_atom_site_type_symbol
_atom_site_fract_x
_atom_site_fract_y
_atom_site_fract_z
La1 La 0.000 0.000 0.000
Ag1 Ag 0.500 0.500 0.500
```